# RbFe5O8 | the Materials Project database | GGA+U | relaxed
# Calculated total energy (eV per atom): -6.3172
# Crystal system: monoclinic
data_RbFe5O8
_cell_length_a 8.0184
_cell_length_b 10.3018
_cell_length_c 10.5167
_cell_angle_alpha 90.00
_cell_angle_beta 110.31
_cell_angle_gamma 90.00
_space_group_name_H-M_alt 'P 1 21/c 1'
_space_group_IT_number 14
_space_group_name_Hall '-P 2ybc'
loop_
_atom_site_label
_atom_site_type_symbol
_atom_site_fract_x
_atom_site_fract_y
_atom_site_fract_z
Rb1 Rb 0.2493 0.0131 0.4646
Fe1 Fe 0.0387 0.1477 0.0197
Fe2 Fe 0.1395 0.6923 0.2592
Fe3 Fe 0.2470 0.1233 0.7920
Fe4 Fe 0.3627 0.6389 0.5968
Fe5 Fe 0.4325 0.1473 0.1443
O1 O 0.0610 0.2119 0.8552
O2 O 0.0948 0.5198 0.2135
O3 O 0.1614 0.7266 0.4448
O4 O 0.1816 0.5036 0.5760
O5 O 0.2362 0.2432 0.6472
O6 O 0.3595 0.7482 0.2423
O7 O 0.4404 0.1880 0.9609
O8 O 0.4593 0.0142 0.7881

# Rb5FeO4 | the Materials Project database | GGA+U | relaxed
# Calculated total energy (eV per atom): -4.2368
# Crystal system: orthorhombic
data_Rb5FeO4
_cell_length_a 11.9883
_cell_length_b 12.7789
_cell_length_c 12.5415
_cell_angle_alpha 90.00
_cell_angle_beta 90.00
_cell_angle_gamma 90.00
_space_group_name_H-M_alt 'P b c a'
_space_group_IT_number 61
_space_group_name_Hall '-P 2ac 2ab'
loop_
_atom_site_label
_atom_site_type_symbol
_atom_site_fract_x
_atom_site_fract_y
_atom_site_fract_z
Rb1 Rb 0.0742 0.1450 0.1115
Rb2 Rb 0.0984 0.6566 0.8743
Rb3 Rb 0.1386 0.6185 0.1597
Rb4 Rb 0.1611 0.1081 0.3832
Rb5 Rb 0.1625 0.6076 0.6072
Fe1 Fe 0.1173 0.1361 0.8485
O1 O 0.0156 0.2343 0.9220
O2 O 0.0245 0.0354 0.7724
O3 O 0.2120 0.0701 0.9568
O4 O 0.2139 0.2236 0.7601